First-principles (PBE) data for an optimized crystal structure of HfMoC2, as listed in the Materials Project.

The structure in POSCAR format:
```
HfMoC2
1.0
-0.874 -2.393 1.922
-0.996 -1.669 -2.531
4.080 -1.817 -0.407
Mo C Hf
1 2 1
Cartesian
1.105 -2.940 -0.508
-0.935 -2.031 -0.305
2.040 -0.909 -0.204
0.000 0.000 0.000
```

Energy of formation ... -0.3469 eV/atom
Volume ... 11.421 Å³ per atom
Final energy ... -10.162 eV per atom
Size of the total moment ... 0.00 Bohr magnetons per cell